(1)
DFT (r2SCAN) results for MnSe2O6 after structural relaxation.

Structure (CIF):
```
data_MnSe2O6
_cell_length_a 5.0742
_cell_length_b 6.7472
_cell_length_c 8.7914
_cell_angle_alpha 90.00
_cell_angle_beta 124.23
_cell_angle_gamma 90.00
_symmetry_space_group_name_H-M 'P 1 21/c 1'
_symmetry_Int_Tables_number 14
_symmetry_space_group_name_Hall '-P 2ybc'
loop_
_atom_site_label
_atom_site_type_symbol
_atom_site_fract_x
_atom_site_fract_y
_atom_site_fract_z
_atom_site_occupancy
Mn1 Mn 0.0000 0.0000 0.0000 1
Se1 Se 0.3163 0.1745 0.8007 1
O1 O 0.1953 0.0824 0.2462 1
O2 O 0.2821 0.7205 0.5831 1
O3 O 0.2945 0.1607 0.9906 1
```

(2)
DFT (r2SCAN) results for MnSe2O5 after structural relaxation.

Summary:
Energy relative to the lowest polymorph listed for this composition   0.000 eV/atom

Structure (CIF):
```
data_MnSe2O5
_cell_length_a 6.8650
_cell_length_b 10.6091
_cell_length_c 6.2357
_cell_angle_alpha 90.00
_cell_angle_beta 90.00
_cell_angle_gamma 90.00
_symmetry_space_group_name_H-M 'P b c n'
_symmetry_Int_Tables_number 60
_symmetry_space_group_name_Hall '-P 2n 2ab'
loop_
_atom_site_label
_atom_site_type_symbol
_atom_site_fract_x
_atom_site_fract_y
_atom_site_fract_z
_atom_site_occupancy
Mn1 Mn 0.0000 0.0586 0.2500 1
Se1 Se 0.1291 0.3450 0.0344 1
O1 O 0.0000 0.4296 0.2500 1
O2 O 0.1636 0.0672 0.5453 1
O3 O 0.1945 0.2120 0.1599 1
```

(3)
DFT (r2SCAN) results for Mn2SiO4 after structural relaxation.

Structure (CIF):
```
data_Mn2SiO4
_cell_length_a 10.5760
_cell_length_b 6.2571
_cell_length_c 4.8961
_cell_angle_alpha 90.00
_cell_angle_beta 90.00
_cell_angle_gamma 90.00
_symmetry_space_group_name_H-M 'P n m a'
_symmetry_Int_Tables_number 62
_symmetry_space_group_name_Hall '-P 2ac 2n'
loop_
_atom_site_label
_atom_site_type_symbol
_atom_site_fract_x
_atom_site_fract_y
_atom_site_fract_z
_atom_site_occupancy
Mn1 Mn 0.0000 0.0000 0.0000 1
Mn2 Mn 0.2199 0.2500 0.4851 1
Si1 Si 0.0966 0.7500 0.4280 1
O1 O 0.0469 0.2500 0.7100 1
O2 O 0.0935 0.7500 0.7595 1
O3 O 0.1641 0.5409 0.2871 1
```

(4)
DFT (r2SCAN) results for SrMn2Si2O10 after structural relaxation.

Structure (CIF):
```
data_SrMn2Si2O10
_cell_length_a 5.2395
_cell_length_b 13.3614
_cell_length_c 5.3633
_cell_angle_alpha 90.00
_cell_angle_beta 113.88
_cell_angle_gamma 90.00
_symmetry_space_group_name_H-M 'P 1 21/m 1'
_symmetry_Int_Tables_number 11
_symmetry_space_group_name_Hall '-P 2yb'
loop_
_atom_site_label
_atom_site_type_symbol
_atom_site_fract_x
_atom_site_fract_y
_atom_site_fract_z
_atom_site_occupancy
Sr1 Sr 0.1725 0.2500 0.3646 1
Mn1 Mn 0.0000 0.0000 0.0000 1
Mn2 Mn 0.5000 0.0000 0.5000 1
Si1 Si 0.4865 0.6319 0.0232 1
O1 O 0.1484 0.5515 0.3435 1
O2 O 0.1575 0.6103 0.8847 1
O3 O 0.2344 0.7500 0.4484 1
O4 O 0.3559 0.0724 0.1481 1
O5 O 0.3716 0.1022 0.6600 1
O6 O 0.4361 0.2500 0.9959 1
```

no.,energy relative to the elements (eV per atom)
1,-1.220
2,-1.167
3,-2.466
4,-2.273